(1)
MgVF4, optimized geometry, DFT PBE with a Hubbard U; volume = 12.210 Å³ per atom; E_form = -3.316 eV/atom; magnetic moment = 0.00 μB per atom; SG = P-1
1.0
-1.431 4.093 -2.752
-5.008 -0.296 2.342
3.904 1.729 3.949
Mg V F
2 2 8
direct
0.740 0.678 0.483
0.260 0.322 0.517
0.500 0.000 0.000
0.000 0.500 0.000
0.147 0.667 0.743
0.298 0.015 0.257
0.853 0.333 0.257
0.342 0.536 0.310
0.702 0.985 0.743
0.213 0.213 0.796
0.658 0.464 0.690
0.787 0.787 0.204

(2)
MgVF5, optimized geometry, DFT PBE with a Hubbard U; volume = 12.855 Å³ per atom; E_form = -3.427 eV/atom; ΔE to the lowest computed polymorph = 18.7 meV/atom; magnetic moment = 0.29 μB per atom; SG = P2_1/c
1.0
9.772 0.000 0.000
0.000 5.192 0.000
0.000 2.632 7.094
Mg V F
4 4 20
direct
0.012 0.525 0.752
0.512 0.475 0.748
0.988 0.475 0.248
0.488 0.525 0.252
0.753 0.104 0.602
0.253 0.896 0.898
0.247 0.896 0.398
0.747 0.104 0.102
0.889 0.394 0.578
0.389 0.606 0.922
0.111 0.606 0.422
0.611 0.394 0.078
0.605 0.360 0.491
0.105 0.640 0.009
0.395 0.640 0.509
0.895 0.360 0.991
0.401 0.149 0.800
0.901 0.851 0.700
0.599 0.851 0.200
0.099 0.149 0.300
0.132 0.209 0.847
0.632 0.791 0.653
0.868 0.791 0.153
0.368 0.209 0.347
0.679 0.165 0.836
0.179 0.835 0.664
0.321 0.835 0.164
0.821 0.165 0.336

(3)
MgVF6, optimized geometry, DFT PBE with a Hubbard U; volume = 13.519 Å³ per atom; E_form = -3.294 eV/atom; SG = R-3
1.0
0.469 5.303 -1.061
-4.071 2.864 -2.167
-2.706 3.747 2.847
Mg V F
1 1 6
direct
0.500 0.500 0.500
0.000 0.000 0.000
0.673 0.845 0.240
0.845 0.240 0.673
0.760 0.327 0.155
0.155 0.760 0.327
0.327 0.155 0.760
0.240 0.673 0.845

(4)
MgVF5, optimized geometry, DFT PBE with a Hubbard U; volume = 13.020 Å³ per atom; E_form = -3.446 eV/atom; ΔE to the lowest computed polymorph = 0.0 meV/atom; magnetic moment = 0.29 μB per atom; SG = C2/c
1.0
0.401 -2.823 4.497
3.626 2.323 3.131
-3.294 3.599 5.784
Mg V F
2 2 10
direct
0.528 0.472 0.250
0.472 0.528 0.750
0.000 0.000 0.500
0.000 0.000 0.000
0.128 0.872 0.750
0.872 0.128 0.250
0.222 0.275 0.871
0.725 0.778 0.629
0.712 0.321 0.553
0.679 0.288 0.947
0.288 0.679 0.447
0.321 0.712 0.053
0.275 0.222 0.371
0.778 0.725 0.129

(5)
MgWF5, optimized geometry, DFT PBE with a Hubbard U; volume = 14.598 Å³ per atom; E_form = -3.051 eV/atom; ΔE to the lowest computed polymorph = 0.0 meV/atom; SG = C2/c
1.0
2.032 -0.997 5.048
3.682 3.984 1.086
-2.897 5.042 5.133
Mg W F
2 2 10
direct
0.515 0.485 0.250
0.485 0.515 0.750
0.000 0.000 0.000
0.000 0.000 0.500
0.144 0.856 0.750
0.856 0.144 0.250
0.708 0.772 0.635
0.228 0.292 0.865
0.679 0.304 0.945
0.696 0.321 0.555
0.321 0.696 0.055
0.304 0.679 0.445
0.772 0.708 0.135
0.292 0.228 0.365

(6)
MgWF5, optimized geometry, DFT PBE with a Hubbard U; volume = 14.624 Å³ per atom; E_form = -3.046 eV/atom; ΔE to the lowest computed polymorph = 4.8 meV/atom; magnetic moment = 0.43 μB per atom; SG = P2_1/c
1.0
10.368 0.000 0.000
0.000 5.261 0.000
0.000 2.497 7.507
Mg W F
4 4 20
direct
0.001 0.507 0.794
0.501 0.493 0.706
0.999 0.493 0.206
0.499 0.507 0.294
0.758 0.092 0.633
0.258 0.908 0.867
0.242 0.908 0.367
0.742 0.092 0.133
0.890 0.399 0.628
0.390 0.601 0.872
0.110 0.601 0.372
0.610 0.399 0.128
0.601 0.352 0.521
0.101 0.648 0.979
0.399 0.648 0.479
0.899 0.352 0.021
0.413 0.155 0.761
0.913 0.845 0.739
0.587 0.845 0.239
0.087 0.155 0.261
0.134 0.237 0.835
0.634 0.763 0.665
0.866 0.763 0.165
0.366 0.237 0.335
0.674 0.131 0.871
0.174 0.869 0.629
0.326 0.869 0.129
0.826 0.131 0.371

(7)
MnF4, optimized geometry, DFT PBE with a Hubbard U; volume = 13.187 Å³ per atom; E_form = -2.302 eV/atom; SG = P-1
1.0
5.089 0.000 0.000
-0.002 5.364 0.000
-0.109 -0.573 7.246
Mn F
3 12
direct
0.500 0.500 0.000
0.000 0.000 0.000
0.500 0.500 0.500
0.672 0.784 0.555
0.179 0.305 0.063
0.113 0.000 0.769
0.624 0.501 0.246
0.215 0.670 0.444
0.696 0.181 0.937
0.887 0.000 0.231
0.376 0.499 0.754
0.785 0.330 0.556
0.304 0.819 0.063
0.328 0.216 0.445
0.821 0.695 0.937

(8)
Mn3F8, optimized geometry, DFT PBE with a Hubbard U; volume = 15.274 Å³ per atom; E_form = -2.741 eV/atom; magnetic moment = 1.18 μB per atom; SG = Cc
1.0
-6.097 0.333 2.158
4.919 -0.614 4.169
0.675 9.236 0.650
Mn F
6 16
direct
0.833 0.167 0.248
0.334 0.167 0.248
0.167 0.334 0.748
0.833 0.666 0.247
0.666 0.833 0.747
0.167 0.833 0.748
0.003 0.015 0.629
0.015 0.003 0.129
0.879 0.173 0.850
0.535 0.048 0.149
0.286 0.132 0.846
0.961 0.458 0.148
0.652 0.331 0.368
0.494 0.453 0.146
0.875 0.706 0.848
0.132 0.286 0.346
0.453 0.494 0.646
0.331 0.652 0.868
0.048 0.535 0.649
0.706 0.875 0.348
0.458 0.961 0.648
0.173 0.879 0.350